First-principles (r2SCAN) data for an optimized crystal structure of K2RuO4, as listed in Materials Project.

```
K2RuO4
1.0
6.154 0.000 0.000
0.000 7.828 0.000
0.000 0.000 10.510
Ru O K
4 16 8
direct
0.750 0.710 0.586
0.750 0.210 0.914
0.250 0.290 0.414
0.250 0.790 0.086
0.250 0.165 0.556
0.750 0.490 0.553
0.483 0.230 0.325
0.517 0.770 0.675
0.983 0.270 0.825
0.483 0.730 0.175
0.250 0.010 0.053
0.017 0.730 0.175
0.750 0.335 0.056
0.250 0.665 0.944
0.750 0.990 0.947
0.750 0.835 0.444
0.250 0.510 0.447
0.983 0.770 0.675
0.517 0.270 0.825
0.017 0.230 0.325
0.250 0.992 0.790
0.250 0.838 0.431
0.250 0.492 0.710
0.750 0.008 0.210
0.750 0.508 0.290
0.750 0.162 0.569
0.250 0.338 0.069
0.750 0.662 0.931
```

E_form	-1.483	eV per atom
total magnetic moment	8.00	Bohr magnetons per cell
uncorrected energy	-10.247	eV per atom

***

First-principles (r2SCAN) data for an optimized crystal structure of KRu4O8, as listed in Materials Project.

```
KRu4O8
1.0
3.075 0.000 0.690
1.538 6.948 0.344
0.016 0.001 7.124
O Ru K
8 4 1
direct
0.454 0.390 0.703
0.157 0.297 0.390
0.801 0.348 0.050
0.199 0.652 0.950
0.843 0.703 0.610
0.546 0.610 0.297
0.851 0.950 0.348
0.149 0.050 0.652
0.833 0.518 0.815
0.167 0.482 0.185
0.351 0.815 0.482
0.649 0.185 0.518
0.500 0.000 0.000
```

E_form	-1.254	eV per atom
total magnetic moment	0.00	Bohr magnetons per cell
uncorrected energy	-13.215	eV per atom

***

First-principles (r2SCAN) data for an optimized crystal structure of K3S2O8, as listed in Materials Project.

```
K3S2O8
1.0
0.141 4.827 2.996
2.913 0.971 -7.090
-9.490 1.189 -1.476
K O S
6 16 4
direct
0.732 0.000 0.750
0.039 0.619 0.849
0.268 0.000 0.250
0.961 0.381 0.151
0.420 0.381 0.652
0.580 0.619 0.349
0.306 0.987 0.563
0.674 0.310 0.405
0.635 0.309 0.905
0.694 0.013 0.437
0.813 0.746 0.107
0.889 0.304 0.619
0.187 0.254 0.893
0.068 0.254 0.393
0.365 0.691 0.095
0.584 0.696 0.881
0.416 0.304 0.119
0.319 0.013 0.937
0.326 0.690 0.595
0.111 0.696 0.381
0.681 0.987 0.063
0.932 0.746 0.607
0.394 0.227 0.965
0.606 0.773 0.035
0.833 0.227 0.465
0.167 0.773 0.535
```

E_form	-1.840	eV per atom
total magnetic moment	2.00	Bohr magnetons per cell
uncorrected energy	-8.140	eV per atom

***

First-principles (r2SCAN) data for an optimized crystal structure of K2S5O16, as listed in Materials Project.

```
K2S5O16
1.0
9.195 0.000 0.000
0.000 10.796 0.000
0.000 0.000 14.465
O K S
64 8 20
direct
0.195 0.726 0.483
0.305 0.774 0.983
0.422 0.760 0.320
0.849 0.765 0.189
0.492 0.627 0.939
0.793 0.553 0.642
0.396 0.606 0.196
0.349 0.735 0.811
0.707 0.053 0.642
0.508 0.373 0.061
0.695 0.226 0.017
0.209 0.627 0.696
0.422 0.240 0.820
0.293 0.053 0.858
0.492 0.373 0.439
0.291 0.127 0.696
0.027 0.652 0.093
0.008 0.127 0.939
0.349 0.265 0.311
0.578 0.240 0.680
0.973 0.348 0.907
0.849 0.235 0.689
0.207 0.553 0.858
0.805 0.726 0.017
0.651 0.735 0.689
0.527 0.848 0.907
0.396 0.394 0.696
0.151 0.235 0.811
0.209 0.373 0.196
0.027 0.348 0.593
0.078 0.260 0.320
0.973 0.652 0.407
0.896 0.894 0.804
0.651 0.265 0.189
0.078 0.740 0.820
0.922 0.740 0.680
0.922 0.260 0.180
0.527 0.152 0.407
0.291 0.873 0.196
0.695 0.774 0.517
0.791 0.627 0.804
0.992 0.873 0.061
0.104 0.894 0.696
0.473 0.152 0.093
0.151 0.765 0.311
0.992 0.127 0.561
0.008 0.873 0.439
0.305 0.226 0.483
0.604 0.394 0.804
0.604 0.606 0.304
0.896 0.106 0.304
0.707 0.947 0.142
0.805 0.274 0.517
0.473 0.848 0.593
0.293 0.947 0.358
0.508 0.627 0.561
0.578 0.760 0.180
0.709 0.127 0.804
0.791 0.373 0.304
0.207 0.447 0.358
0.195 0.274 0.983
0.104 0.106 0.196
0.793 0.447 0.142
0.709 0.873 0.304
0.240 0.012 0.044
0.760 0.988 0.956
0.260 0.488 0.544
0.740 0.512 0.456
0.740 0.488 0.956
0.760 0.012 0.456
0.260 0.512 0.044
0.240 0.988 0.544
0.721 0.851 0.208
0.779 0.351 0.208
0.069 0.752 0.427
0.931 0.248 0.573
0.431 0.252 0.427
0.779 0.649 0.708
0.221 0.351 0.292
0.279 0.851 0.292
0.000 0.831 0.750
0.500 0.669 0.250
0.000 0.169 0.250
0.221 0.649 0.792
0.069 0.248 0.927
0.431 0.748 0.927
0.569 0.252 0.073
0.931 0.752 0.073
0.500 0.331 0.750
0.721 0.149 0.708
0.279 0.149 0.792
0.569 0.748 0.573
```

E_form	-1.488	eV per atom
total magnetic moment	0.00	Bohr magnetons per cell
uncorrected energy	-7.913	eV per atom

***

First-principles (r2SCAN) data for an optimized crystal structure of KSO3, as listed in Materials Project.

```
KSO3
1.0
4.856 -8.411 0.000
4.856 8.411 0.000
0.000 0.000 6.276
K O S
6 18 6
direct
0.382 0.382 0.000
0.000 0.618 0.000
0.000 0.295 0.500
0.706 0.706 0.500
0.618 0.000 0.000
0.294 0.000 0.500
0.305 0.796 0.806
0.695 0.490 0.194
0.204 0.510 0.806
0.556 0.387 0.654
0.874 0.032 0.766
0.169 0.613 0.346
0.158 0.126 0.766
0.613 0.169 0.654
0.510 0.204 0.194
0.796 0.305 0.194
0.126 0.158 0.234
0.444 0.831 0.346
0.032 0.874 0.234
0.387 0.556 0.346
0.490 0.695 0.806
0.968 0.842 0.766
0.842 0.968 0.234
0.831 0.444 0.654
0.333 0.667 0.745
0.667 0.333 0.599
0.000 0.000 0.826
0.000 0.000 0.174
0.667 0.333 0.255
0.333 0.667 0.401
```

E_form	-1.789	eV per atom
total magnetic moment	0.00	Bohr magnetons per cell
uncorrected energy	-8.183	eV per atom

***

First-principles (r2SCAN) data for an optimized crystal structure of KSO3, as listed in Materials Project.

```
KSO3
1.0
4.936 -8.550 0.000
4.936 8.550 0.000
0.000 0.000 6.299
S O K
6 18 6
direct
0.667 0.333 0.312
0.333 0.667 0.688
0.000 0.000 0.174
0.000 0.000 0.826
0.333 0.667 0.343
0.667 0.333 0.657
0.460 0.639 0.747
0.013 0.865 0.765
0.540 0.179 0.253
0.361 0.821 0.747
0.246 0.744 0.285
0.852 0.987 0.765
0.256 0.502 0.285
0.498 0.754 0.285
0.135 0.148 0.765
0.987 0.852 0.235
0.754 0.498 0.715
0.744 0.246 0.715
0.865 0.013 0.235
0.179 0.540 0.747
0.821 0.361 0.253
0.148 0.135 0.235
0.502 0.256 0.715
0.639 0.460 0.253
0.722 0.722 0.500
0.278 0.000 0.500
0.621 0.000 0.000
0.000 0.621 0.000
0.379 0.379 0.000
0.000 0.278 0.500
```

E_form	-1.788	eV per atom
total magnetic moment	0.00	Bohr magnetons per cell
uncorrected energy	-8.182	eV per atom

***

First-principles (r2SCAN) data for an optimized crystal structure of K6Si2S6O, as listed in Materials Project.

```
K6Si2S6O
1.0
-2.336 10.807 -3.885
-0.035 -2.831 -7.855
-7.960 -2.613 -2.483
K S Si O
12 12 4 2
direct
0.721 0.807 0.544
0.562 0.283 0.226
0.438 0.717 0.774
0.328 0.989 0.007
0.672 0.011 0.993
0.172 0.489 0.007
0.062 0.217 0.774
0.779 0.307 0.544
0.279 0.193 0.456
0.828 0.511 0.993
0.221 0.693 0.456
0.938 0.783 0.226
0.478 0.891 0.335
0.116 0.088 0.172
0.884 0.912 0.828
0.680 0.630 0.239
0.320 0.370 0.761
0.180 0.870 0.761
0.384 0.588 0.172
0.978 0.609 0.665
0.616 0.412 0.828
0.820 0.130 0.239
0.022 0.391 0.335
0.522 0.109 0.665
0.490 0.350 0.684
0.010 0.850 0.684
0.510 0.650 0.316
0.990 0.150 0.316
0.500 0.500 0.500
0.000 0.000 0.500
```

E_form	-1.541	eV per atom
total magnetic moment	0.00	Bohr magnetons per cell
uncorrected energy	-8.730	eV per atom

***

First-principles (r2SCAN) data for an optimized crystal structure of K2SiS6O21, as listed in Materials Project.

```
K2SiS6O21
1.0
9.375 0.000 0.000
0.000 10.849 -0.027
0.000 10.151 16.341
O S K Si
84 24 8 4
direct
0.450 0.068 0.215
0.367 0.928 0.400
0.153 0.529 0.680
0.011 0.745 0.590
0.856 0.356 0.916
0.656 0.717 0.484
0.154 0.540 0.920
0.023 0.388 0.264
0.012 0.288 0.583
0.697 0.625 0.630
0.722 0.604 0.369
0.867 0.072 0.100
0.477 0.388 0.764
0.126 0.412 0.450
0.847 0.471 0.320
0.846 0.460 0.080
0.197 0.375 0.870
0.443 0.717 0.796
0.695 0.148 0.162
0.367 0.135 0.036
0.344 0.283 0.516
0.133 0.135 0.536
0.689 0.239 0.826
0.778 0.604 0.869
0.332 0.091 0.826
0.626 0.588 0.050
0.820 0.949 0.861
0.977 0.612 0.736
0.634 0.404 0.962
0.856 0.940 0.989
0.050 0.068 0.715
0.512 0.712 0.917
0.278 0.396 0.631
0.557 0.283 0.204
0.511 0.255 0.910
0.489 0.745 0.090
0.871 0.129 0.544
0.374 0.412 0.950
0.668 0.909 0.174
0.320 0.051 0.639
0.057 0.717 0.296
0.156 0.283 0.016
0.633 0.072 0.600
0.989 0.255 0.410
0.811 0.239 0.326
0.550 0.932 0.785
0.866 0.404 0.462
0.356 0.060 0.511
0.488 0.288 0.083
0.356 0.644 0.584
0.523 0.612 0.236
0.653 0.471 0.820
0.347 0.529 0.180
0.943 0.283 0.704
0.867 0.865 0.464
0.311 0.761 0.174
0.874 0.588 0.550
0.222 0.396 0.131
0.168 0.091 0.326
0.988 0.712 0.417
0.134 0.596 0.538
0.803 0.625 0.130
0.305 0.852 0.838
0.633 0.865 0.964
0.195 0.852 0.338
0.371 0.871 0.956
0.832 0.909 0.674
0.303 0.375 0.370
0.950 0.932 0.285
0.644 0.940 0.489
0.366 0.596 0.038
0.654 0.460 0.580
0.680 0.949 0.361
0.346 0.540 0.420
0.629 0.129 0.044
0.180 0.051 0.139
0.644 0.356 0.416
0.844 0.717 0.984
0.129 0.871 0.456
0.133 0.928 0.900
0.805 0.148 0.662
0.144 0.644 0.084
0.189 0.761 0.674
0.144 0.060 0.011
0.755 0.459 0.395
0.781 0.586 0.071
0.745 0.459 0.895
0.967 0.196 0.671
0.790 0.883 0.946
0.710 0.883 0.446
0.580 0.328 0.827
0.219 0.414 0.929
0.719 0.586 0.571
0.281 0.414 0.429
0.255 0.541 0.105
0.920 0.328 0.327
0.210 0.117 0.054
0.219 0.948 0.381
0.467 0.804 0.829
0.281 0.948 0.881
0.290 0.117 0.554
0.719 0.052 0.119
0.080 0.672 0.673
0.420 0.672 0.173
0.533 0.196 0.171
0.781 0.052 0.619
0.033 0.804 0.329
0.245 0.541 0.605
0.997 0.218 0.185
0.003 0.782 0.815
0.009 0.802 0.137
0.509 0.198 0.363
0.497 0.782 0.315
0.491 0.802 0.637
0.991 0.198 0.863
0.503 0.218 0.685
0.001 0.730 0.503
0.999 0.270 0.497
0.501 0.270 0.997
0.499 0.730 0.003
```

E_form	-1.623	eV per atom
total magnetic moment	0.00	Bohr magnetons per cell
uncorrected energy	-8.104	eV per atom